Computed, not measured: a relaxed Li4CrO5 crystal at the PBE+U level of DFT.

Calculated values
energy relative to the elements = -2.060 eV per atom
relative energy among the computed polymorphs = 0.000 eV/atom
SG = C2/c, No. 15

a = 5.260 Å, b = 5.260 Å, c = 7.916 Å
α = 83.52°, β = 83.52°, γ = 67.32°
Sites, in units of the cell vectors:
Li1 0.965 0.637 0.148
O1 0.989 0.647 0.659
O2 0.129 0.871 0.250
O3 0.590 0.232 0.428
Cr1 0.171 0.829 0.750
O4 0.011 0.353 0.341
Li2 0.220 0.566 0.444
O5 0.768 0.410 0.072
Li3 0.035 0.363 0.852
O6 0.871 0.129 0.750
O7 0.232 0.590 0.928
Li4 0.434 0.780 0.056
Cr2 0.829 0.171 0.250
Li5 0.363 0.035 0.352
Li6 0.780 0.434 0.556
Li7 0.566 0.220 0.944
O8 0.647 0.989 0.159
O9 0.353 0.011 0.841
O10 0.410 0.768 0.572
Li8 0.637 0.965 0.648

Computed, not measured: a relaxed Li7Cr4P9O32 crystal at the PBE+U level of DFT.

Calculated values
energy relative to the elements = -2.637 eV per atom
SG = P-42_1c, No. 114

a = 13.758 Å, b = 13.758 Å, c = 6.326 Å
α = 90.00°, β = 90.00°, γ = 90.00°
Sites, in units of the cell vectors:
Li1 0.397 0.245 0.673
O1 0.320 0.359 0.812
O2 0.162 0.344 0.120
O3 0.664 0.766 0.147
O4 0.564 0.563 0.151
O5 0.359 0.680 0.188
O6 0.773 0.495 0.668
O7 0.746 0.988 0.424
O8 0.941 0.415 0.393
O9 0.108 0.187 0.930
O10 0.392 0.687 0.570
O11 0.313 0.392 0.430
O12 0.441 0.085 0.107
O13 0.415 0.059 0.607
O14 0.187 0.892 0.070
P1 0.500 0.500 0.000
Li2 0.255 0.103 0.173
O15 0.246 0.512 0.076
P2 0.248 0.891 0.869
O16 0.766 0.336 0.853
O17 0.344 0.838 0.880
O18 0.641 0.320 0.188
O19 0.836 0.266 0.353
P3 0.060 0.694 0.386
O20 0.656 0.162 0.880
P4 0.440 0.194 0.114
O21 0.662 0.156 0.380
Cr1 0.379 0.696 0.880
O22 0.505 0.773 0.332
O23 0.687 0.608 0.430
P5 0.391 0.748 0.369
Cr2 0.804 0.121 0.380
O24 0.064 0.937 0.349
O25 0.915 0.441 0.893
P6 0.940 0.306 0.386
O26 0.005 0.727 0.168
O27 0.338 0.844 0.380
P7 0.306 0.060 0.614
P8 0.109 0.248 0.131
O28 0.820 0.141 0.688
O29 0.156 0.338 0.620
Li3 0.745 0.897 0.173
O30 0.936 0.063 0.349
P9 0.748 0.609 0.631
O31 0.063 0.064 0.651
Li4 0.755 0.397 0.327
O32 0.512 0.754 0.924
P10 0.752 0.109 0.869
O33 0.608 0.313 0.570
O34 0.813 0.108 0.070
O35 0.995 0.273 0.168
P11 0.609 0.252 0.369
O36 0.180 0.859 0.688
P12 0.891 0.752 0.131
O37 0.495 0.227 0.332
P13 0.694 0.940 0.614
Li5 0.000 0.500 0.640
O38 0.937 0.936 0.651
Cr3 0.696 0.621 0.120
Cr4 0.879 0.804 0.620
O39 0.844 0.662 0.620
P14 0.806 0.440 0.886
O40 0.727 0.995 0.832
O41 0.563 0.436 0.849
O42 0.559 0.915 0.107
O43 0.336 0.234 0.147
O44 0.012 0.746 0.576
O45 0.141 0.180 0.312
Cr5 0.196 0.879 0.380
P15 0.560 0.806 0.114
O46 0.988 0.254 0.576
O47 0.273 0.005 0.832
Cr6 0.121 0.196 0.620
O48 0.680 0.641 0.812
Li6 0.000 0.500 0.140
Li7 0.603 0.755 0.673
O49 0.227 0.505 0.668
O50 0.234 0.664 0.853
O51 0.754 0.488 0.076
Li8 0.000 0.000 0.000
O52 0.437 0.564 0.849
O53 0.085 0.559 0.893
O54 0.892 0.813 0.930
O55 0.059 0.585 0.393
O56 0.734 0.836 0.647
O57 0.585 0.941 0.607
O58 0.859 0.820 0.312
Li9 0.245 0.603 0.327
Li10 0.103 0.745 0.827
Li11 0.897 0.255 0.827
Cr7 0.621 0.304 0.880
P16 0.000 0.000 0.500
O59 0.254 0.012 0.424
O60 0.436 0.437 0.151
O61 0.488 0.246 0.924
Li12 0.500 0.000 0.860
Li13 0.500 0.500 0.500
O62 0.164 0.734 0.353
Li14 0.500 0.000 0.360
Cr8 0.304 0.379 0.120
P17 0.194 0.560 0.886
O63 0.266 0.164 0.647
O64 0.838 0.656 0.120
P18 0.252 0.391 0.631

Computed, not measured: a relaxed LiCrP4O13 crystal at the PBE+U level of DFT.

Calculated values
energy relative to the elements = -2.408 eV per atom
relative energy among the computed polymorphs = 0.000 eV/atom
SG = P1, No. 1

a = 5.129 Å, b = 7.971 Å, c = 13.993 Å
α = 81.03°, β = 89.84°, γ = 81.22°
Sites, in units of the cell vectors:
O1 0.841 0.965 0.327
O2 0.135 0.766 0.036
O3 0.841 0.255 0.951
O4 0.951 0.262 0.256
O5 0.686 0.470 0.119
O6 0.942 0.164 0.441
Cr1 0.447 0.043 0.754
O7 0.856 0.357 0.769
P1 0.080 0.811 0.135
O8 0.455 0.810 0.818
O9 0.786 0.878 0.147
O10 0.305 0.032 0.340
O11 0.152 0.021 0.671
Li1 0.976 0.607 0.508
O12 0.206 0.124 0.850
Li2 0.571 0.430 0.992
O13 0.743 0.059 0.836
O14 0.318 0.521 0.885
Cr2 0.545 0.952 0.243
O15 0.455 0.277 0.689
P2 0.669 0.338 0.205
O16 0.195 0.564 0.400
O17 0.540 0.719 0.304
P3 0.911 0.195 0.856
P4 0.341 0.591 0.310
P5 0.322 0.657 0.800
O18 0.037 0.801 0.568
O19 0.766 0.461 0.589
P6 0.640 0.413 0.683
O20 0.508 0.411 0.293
O21 0.148 0.640 0.217
O22 0.035 0.732 0.753
O23 0.472 0.585 0.710
P7 0.981 0.883 0.657
O24 0.249 0.943 0.159
O25 0.536 0.187 0.185
O26 0.687 0.959 0.661
P8 0.011 0.102 0.346